A plane-wave DFT calculation with PBE was carried out for a relaxed structure of Sr4CeNd3Nb2Cu4O20.

Output
The value obtained for the total magnetization is 0.1 μB/f.u. For the energy with MP2020 corrections, the calculation gives -7.62 eV/atom. Its energy relative to the elements is -96.5 eV/f.u. The total energy is -490.7 eV/cell.

Geometry as CIF:
```
data_Sr4CeNd3Nb2Cu4O20
_chemical_formula_sum 'Sr8 Ce2 Nd6 Nb4 Cu8 O40'
_space_group_name_H-M_alt 'A m m 2'
_space_group_IT_number 38
_cell_length_a 5.5902
_cell_length_b 5.5897
_cell_length_c 29.0659
_cell_angle_alpha 90.00
_cell_angle_beta 90.00
_cell_angle_gamma 90.00
loop_
_space_group_symop_operation_xyz
'x,y,z'
'-x,-y,z'
'-x,y,z'
'x,-y,z'
'x,y+1/2,z+1/2'
'-x,-y+1/2,z+1/2'
'-x,y+1/2,z+1/2'
'x,-y+1/2,z+1/2'
loop_
_atom_site_label
_atom_site_type_symbol
_atom_site_fract_x
_atom_site_fract_y
_atom_site_fract_z
_atom_site_occupancy
Sr1 Sr 0.0000 0.0000 0.0000 1
Sr2 Sr 0.0000 0.0000 0.1628 1
Sr3 Sr 0.5000 0.0000 0.4992 1
Sr4 Sr 0.5000 0.0000 0.6628 1
Ce1 Ce 0.5000 0.0000 0.3730 1
Nd1 Nd 0.0000 0.0000 0.2868 1
Nd2 Nd 0.0000 0.0000 0.8760 1
Nd3 Nd 0.5000 0.0000 0.7869 1
Nb1 Nb 0.0000 0.0000 0.5811 1
Nb2 Nb 0.5000 0.0000 0.0811 1
Cu1 Cu 0.0000 0.0000 0.4384 1
Cu2 Cu 0.0000 0.0000 0.7235 1
Cu3 Cu 0.5000 0.0000 0.2234 1
Cu4 Cu 0.5000 0.0000 0.9383 1
O1 O 0.0000 0.0000 0.5126 1
O2 O 0.0000 0.0000 0.6492 1
O3 O 0.2499 0.2498 0.0809 1
O4 O 0.2496 0.2502 0.2281 1
O5 O 0.2530 0.2477 0.4332 1
O6 O 0.2561 0.2439 0.3326 1
O7 O 0.5000 0.0000 0.0127 1
O8 O 0.5000 0.0000 0.1493 1
```